Entry 1:
Entry from Materials Project: an optimized crystal structure of CaSi18O38 (GGA-PBE).

Cell lengths 13.183, 13.183, 15.159 Å; angles 90.00, 90.00, 120.00 degrees
Fractional positions:
O  0.667  0.333  0.569
O  0.904  0.096  0.375
O  0.542  0.458  0.250
O  0.321  0.349  0.662
O  0.736  0.000  0.000
O  0.028  0.349  0.838
O  0.085  0.542  0.750
O  0.876  0.752  0.865
O  0.752  0.876  0.365
O  0.904  0.096  0.125
O  0.321  0.972  0.838
O  0.248  0.124  0.635
O  0.651  0.972  0.662
O  0.736  0.000  0.500
O  0.972  0.321  0.338
O  0.191  0.096  0.375
O  0.096  0.904  0.875
O  0.349  0.321  0.338
O  0.904  0.809  0.375
O  0.124  0.876  0.365
O  0.876  0.124  0.865
O  0.915  0.458  0.250
O  0.542  0.085  0.250
O  0.264  0.264  0.500
O  0.321  0.349  0.838
O  0.679  0.651  0.338
O  0.809  0.904  0.875
O  0.096  0.904  0.625
O  0.230  0.770  0.750
O  0.809  0.904  0.625
O  0.458  0.542  0.750
O  0.000  0.264  0.500
O  0.349  0.028  0.162
O  0.333  0.667  0.431
O  0.264  0.000  0.500
O  0.770  0.541  0.250
O  0.876  0.752  0.635
O  0.651  0.972  0.838
O  0.124  0.248  0.135
O  0.349  0.028  0.338
O  0.972  0.651  0.162
O  0.541  0.770  0.750
O  0.248  0.124  0.865
O  0.321  0.972  0.662
O  0.000  0.736  0.500
O  0.096  0.191  0.625
O  0.028  0.679  0.838
O  0.736  0.736  0.500
O  0.651  0.679  0.662
O  0.333  0.667  0.069
O  0.679  0.028  0.338
O  0.264  0.000  0.000
O  0.651  0.679  0.838
O  0.028  0.679  0.662
O  0.124  0.248  0.365
O  0.904  0.809  0.125
O  0.679  0.651  0.162
O  0.349  0.321  0.162
O  0.679  0.028  0.162
O  0.264  0.264  0.000
O  0.752  0.876  0.135
O  0.000  0.264  0.000
O  0.876  0.124  0.635
O  0.972  0.651  0.338
O  0.459  0.230  0.250
O  0.096  0.191  0.875
O  0.736  0.736  0.000
O  0.770  0.230  0.250
O  0.667  0.333  0.931
O  0.028  0.349  0.662
O  0.458  0.915  0.750
O  0.191  0.096  0.125
O  0.000  0.736  0.000
O  0.972  0.321  0.162
O  0.230  0.459  0.750
O  0.124  0.876  0.135
Si  0.907  0.332  0.250
Si  0.000  0.764  0.604
Si  0.000  0.236  0.104
Si  0.093  0.426  0.750
Si  0.000  0.236  0.896
Si  0.000  0.764  0.396
Si  0.764  0.764  0.896
Si  0.236  0.000  0.604
Si  0.236  0.236  0.396
Si  0.236  0.236  0.604
Si  0.668  0.574  0.250
Si  0.000  0.764  0.104
Si  0.764  0.764  0.604
Si  0.764  0.000  0.396
Si  0.332  0.907  0.750
Si  0.236  0.000  0.396
Si  0.236  0.236  0.104
Si  0.093  0.668  0.750
Si  0.332  0.426  0.750
Si  0.574  0.668  0.750
Si  0.764  0.764  0.104
Si  0.236  0.000  0.104
Si  0.574  0.907  0.750
Si  0.668  0.093  0.250
Si  0.907  0.574  0.250
Si  0.764  0.000  0.104
Si  0.000  0.764  0.896
Si  0.236  0.236  0.896
Si  0.236  0.000  0.896
Si  0.426  0.093  0.250
Si  0.000  0.236  0.604
Si  0.764  0.000  0.604
Si  0.426  0.332  0.250
Si  0.000  0.236  0.396
Si  0.764  0.764  0.396
Si  0.764  0.000  0.896
Ca  0.000  0.000  0.750
Ca  0.000  0.000  0.250

Results
The calculation puts the uncorrected energy at -7.59 eV per atom. The space group is P6_3/mmc, No. 194. The formation enthalpy at 0 K comes out at -3.001 eV per atom.

Entry 2:
Entry from Materials Project: an optimized crystal structure of YMg14B (GGA-PBE).

Cell lengths 6.385, 6.385, 10.106 Å; angles 90.00, 90.00, 120.00 degrees
Fractional positions:
Mg  0.672  0.344  0.625
Mg  0.849  0.175  0.854
Mg  0.658  0.316  0.125
Mg  0.325  0.175  0.396
Mg  0.833  0.667  0.363
Mg  0.325  0.651  0.396
Mg  0.849  0.175  0.396
Mg  0.658  0.842  0.125
Mg  0.184  0.842  0.125
Mg  0.325  0.175  0.854
Mg  0.325  0.651  0.854
Mg  0.833  0.667  0.887
Mg  0.156  0.828  0.625
Mg  0.672  0.828  0.625
B  0.167  0.333  0.625
Y  0.167  0.333  0.125

Results
The calculation puts the uncorrected energy at -2.05 eV per atom. For the relative energy among the computed polymorphs, the calculation gives 54 meV/atom. The space group is P-6m2, No. 187. The formation enthalpy at 0 K comes out at 0.176 eV per atom.

Which value of uncorrected energy does entry 2 give?
-2.05 eV per atom

The highest uncorrected energy belongs to which entry?
YMg14B

uncorrected energy of number 2 (YMg14B)?
-2.05 eV per atom